Sm2Ni7 | PBE | relaxed

## Properties
For the formation enthalpy at 0 K, the calculation gives -0.339 eV/atom. The crystal system is hexagonal. The value obtained for the uncorrected energy is -5.883 eV/atom.

a b c (Å): 4.9758 4.9758 24.3578
angles (deg): 90.00 90.00 120.00
Last column: nearest neighbours and their distance in Å.
Sites, in units of the cell vectors:
Sm: 0.3333 0.6667 0.4701  12 Ni 2.85-3.19
Sm: 0.6667 0.3333 0.5299  12 Ni 2.85-3.19
Sm: 0.6667 0.3333 0.9701  12 Ni 2.85-3.19
Sm: 0.3333 0.6667 0.0299  12 Ni 2.85-3.19
Sm: 0.3333 0.6667 0.3257  12 Ni 2.88-3.10
Sm: 0.6667 0.3333 0.6743  12 Ni 2.88-3.10
Sm: 0.6667 0.3333 0.8257  12 Ni 2.88-3.10
Sm: 0.3333 0.6667 0.1743  12 Ni 2.88-3.10
Ni: 0.0000 0.0000 0.5000  6 Ni 2.56
Ni: 0.0000 0.0000 0.0000  6 Ni 2.56
Ni: 0.8325 0.1675 0.2500  8 Ni 2.45-2.50
Ni: 0.8325 0.6651 0.2500  8 Ni 2.45-2.50
Ni: 0.3349 0.1675 0.2500  8 Ni 2.45-2.50
Ni: 0.1675 0.8325 0.7500  8 Ni 2.45-2.50
Ni: 0.1675 0.3349 0.7500  8 Ni 2.45-2.50
Ni: 0.6651 0.8325 0.7500  8 Ni 2.45-2.50
Ni: 0.8339 0.1661 0.4131  7 Ni 2.43-2.56
Ni: 0.8339 0.6677 0.4131  7 Ni 2.43-2.56
Ni: 0.3323 0.1661 0.4131  7 Ni 2.43-2.56
Ni: 0.1661 0.8339 0.5869  7 Ni 2.43-2.56
Ni: 0.1661 0.3323 0.5869  7 Ni 2.43-2.56
Ni: 0.6677 0.8339 0.5869  7 Ni 2.43-2.56
Ni: 0.1661 0.8339 0.9131  7 Ni 2.43-2.56
Ni: 0.1661 0.3323 0.9131  7 Ni 2.43-2.56
Ni: 0.6677 0.8339 0.9131  7 Ni 2.43-2.56
Ni: 0.8339 0.1661 0.0869  7 Ni 2.43-2.56
Ni: 0.8339 0.6677 0.0869  7 Ni 2.43-2.56
Ni: 0.3323 0.1661 0.0869  7 Ni 2.43-2.56
Ni: 0.0000 0.0000 0.3312  6 Ni 2.45-2.46
Ni: 0.0000 0.0000 0.6688  6 Ni 2.45-2.46
Ni: 0.0000 0.0000 0.8312  6 Ni 2.45-2.46
Ni: 0.0000 0.0000 0.1688  6 Ni 2.45-2.46
Ni: 0.3333 0.6667 0.6675  6 Ni 2.43-2.47
Ni: 0.6667 0.3333 0.3325  6 Ni 2.43-2.47
Ni: 0.6667 0.3333 0.1675  6 Ni 2.43-2.47
Ni: 0.3333 0.6667 0.8325  6 Ni 2.43-2.47